1.
BaNbTePO8: optimized geometry, PBE-GGA.

Cell: 6.8530 7.6951 27.8565 Å, 90.00 90.00 90.00°
Last column: nearest neighbours and their distance in Å.
Fractional positions:
1 Ba 0.0305 0.1423 0.1990  9 O 2.77-3.06
2 Ba 0.0305 0.3577 0.6990  9 O 2.77-3.06
3 Ba 0.4695 0.6423 0.1990  9 O 2.77-3.06
4 Ba 0.4695 0.8577 0.6990  9 O 2.77-3.06
5 Ba 0.5305 0.1423 0.3010  9 O 2.77-3.06
6 Ba 0.5305 0.3577 0.8010  9 O 2.77-3.06
7 Ba 0.9695 0.6423 0.3010  9 O 2.77-3.06
8 Ba 0.9695 0.8577 0.8010  9 O 2.77-3.06
9 Nb 0.2363 0.0844 0.4353  3 O 1.84-2.01
10 Nb 0.2363 0.4156 0.9353  3 O 1.84-2.01
11 Nb 0.2637 0.5844 0.4353  3 O 1.84-2.01
12 Nb 0.2637 0.9156 0.9353  3 O 1.84-2.01
13 Nb 0.7363 0.0844 0.0647  3 O 1.84-2.01
14 Nb 0.7363 0.4156 0.5647  3 O 1.84-2.01
15 Nb 0.7637 0.5844 0.0647  3 O 1.84-2.01
16 Nb 0.7637 0.9156 0.5647  3 O 1.84-2.01
17 Te 0.2072 0.6386 0.5725  3 O 1.91-1.96
18 Te 0.2072 0.8614 0.0725  3 O 1.91-1.96
19 Te 0.2928 0.1386 0.5725  3 O 1.91-1.96
20 Te 0.2928 0.3614 0.0725  3 O 1.91-1.96
21 Te 0.7072 0.6386 0.9275  3 O 1.91-1.96
22 Te 0.7072 0.8614 0.4275  3 O 1.91-1.96
23 Te 0.7928 0.1386 0.9275  3 O 1.91-1.96
24 Te 0.7928 0.3614 0.4275  3 O 1.91-1.96
25 P 0.0350 0.1771 0.3231  4 O 1.54-1.58
26 P 0.0350 0.3229 0.8231  4 O 1.54-1.58
27 P 0.4650 0.6771 0.3231  4 O 1.54-1.58
28 P 0.4650 0.8229 0.8231  4 O 1.54-1.58
29 P 0.5350 0.1771 0.1769  4 O 1.54-1.58
30 P 0.5350 0.3229 0.6769  4 O 1.54-1.58
31 P 0.9650 0.6771 0.1769  4 O 1.54-1.58
32 P 0.9650 0.8229 0.6769  4 O 1.54-1.58
33 O 0.0275 0.0492 0.0828  1 Te 1.92, 1 Nb 2.08
34 O 0.0275 0.4508 0.5828  1 Te 1.92, 1 Nb 2.08
35 O 0.0412 0.6672 0.0596  1 Te 1.91, 1 Nb 2.01
36 O 0.0412 0.8328 0.5596  1 Te 1.91, 1 Nb 2.01
37 O 0.0688 0.5233 0.2014  1 P 1.54
38 O 0.0688 0.9767 0.7014  1 P 1.54
39 O 0.1253 0.7068 0.6519  1 P 1.58
40 O 0.1253 0.7932 0.1519  1 P 1.58
41 O 0.1463 0.2132 0.7855  1 P 1.55
42 O 0.1463 0.2868 0.2855  1 P 1.55
43 O 0.1789 0.6493 0.9316  1 Nb 1.84
44 O 0.1789 0.8507 0.4316  1 Nb 1.84
45 O 0.1904 0.1135 0.3607  1 P 1.57
46 O 0.1904 0.3865 0.8607  1 P 1.57
47 O 0.2165 0.5931 0.5035  1 Nb 1.93, 1 Te 1.96
48 O 0.2165 0.9069 0.0035  1 Nb 1.93, 1 Te 1.96
49 O 0.2835 0.0931 0.5035  1 Nb 1.93, 1 Te 1.96
50 O 0.2835 0.4069 0.0035  1 Nb 1.93, 1 Te 1.96
51 O 0.3096 0.6135 0.3607  1 P 1.57
52 O 0.3096 0.8865 0.8607  1 P 1.57
53 O 0.3211 0.1493 0.9316  1 Nb 1.84
54 O 0.3211 0.3507 0.4316  1 Nb 1.84
55 O 0.3537 0.7132 0.7855  1 P 1.55
56 O 0.3537 0.7868 0.2855  1 P 1.55
57 O 0.3747 0.2068 0.6519  1 P 1.58
58 O 0.3747 0.2932 0.1519  1 P 1.58
59 O 0.4312 0.0233 0.2014  1 P 1.54
60 O 0.4312 0.4767 0.7014  1 P 1.54
61 O 0.4588 0.1672 0.0596  1 Te 1.91, 1 Nb 2.01
62 O 0.4588 0.3328 0.5596  1 Te 1.91, 1 Nb 2.01
63 O 0.4725 0.5492 0.0828  1 Te 1.92, 1 Nb 2.08
64 O 0.4725 0.9508 0.5828  1 Te 1.92, 1 Nb 2.08
65 O 0.5275 0.0492 0.4172  1 Te 1.92, 1 Nb 2.08
66 O 0.5275 0.4508 0.9172  1 Te 1.92, 1 Nb 2.08
67 O 0.5412 0.6672 0.4404  1 Te 1.91, 1 Nb 2.01
68 O 0.5412 0.8328 0.9404  1 Te 1.91, 1 Nb 2.01
69 O 0.5688 0.5233 0.2986  1 P 1.54
70 O 0.5688 0.9767 0.7986  1 P 1.54
71 O 0.6253 0.7068 0.8481  1 P 1.58
72 O 0.6253 0.7932 0.3481  1 P 1.58
73 O 0.6463 0.2132 0.7145  1 P 1.55
74 O 0.6463 0.2868 0.2145  1 P 1.55
75 O 0.6789 0.6493 0.5684  1 Nb 1.84
76 O 0.6789 0.8507 0.0684  1 Nb 1.84
77 O 0.6904 0.1135 0.1393  1 P 1.57
78 O 0.6904 0.3865 0.6393  1 P 1.57
79 O 0.7165 0.5931 0.9965  1 Nb 1.93, 1 Te 1.96
80 O 0.7165 0.9069 0.4965  1 Nb 1.93, 1 Te 1.96
81 O 0.7835 0.0931 0.9965  1 Nb 1.93, 1 Te 1.96
82 O 0.7835 0.4069 0.4965  1 Nb 1.93, 1 Te 1.96
83 O 0.8096 0.6135 0.1393  1 P 1.57
84 O 0.8096 0.8865 0.6393  1 P 1.57
85 O 0.8211 0.1493 0.5684  1 Nb 1.84
86 O 0.8211 0.3507 0.0684  1 Nb 1.84
87 O 0.8537 0.7132 0.7145  1 P 1.55
88 O 0.8537 0.7868 0.2145  1 P 1.55
89 O 0.8747 0.2068 0.8481  1 P 1.58
90 O 0.8747 0.2932 0.3481  1 P 1.58
91 O 0.9312 0.0233 0.2986  1 P 1.54
92 O 0.9312 0.4767 0.7986  1 P 1.54
93 O 0.9588 0.1672 0.4404  1 Te 1.91, 1 Nb 2.01
94 O 0.9588 0.3328 0.9404  1 Te 1.91, 1 Nb 2.01
95 O 0.9725 0.5492 0.4172  1 Te 1.92, 1 Nb 2.08
96 O 0.9725 0.9508 0.9172  1 Te 1.92, 1 Nb 2.08

Properties
**Energy relative to the elements**: -2743 meV per atom
**Corrected total energy (MP2020 scheme)**: -7.76 eV per atom

2.
NbBiO3: optimized geometry, PBE-GGA.

Cell: 4.1097 4.1097 4.1097 Å, 90.00 90.00 90.00°
Last column: nearest neighbours and their distance in Å.
Fractional positions:
1 Nb 0.0000 0.0000 0.0000  6 O 2.05
2 Bi 0.5000 0.5000 0.5000  12 O 2.91
3 O 0.0000 0.0000 0.5000  2 Nb 2.05
4 O 0.0000 0.5000 0.0000  2 Nb 2.05
5 O 0.5000 0.0000 0.0000  2 Nb 2.05

Properties
**Energy relative to the elements**: -2000 meV per atom
**Corrected total energy (MP2020 scheme)**: -7.77 eV per atom

3.
CaZn2As2: optimized geometry, PBE-GGA.

Cell: 4.1968 4.1968 7.0399 Å, 90.00 90.00 120.00°
Last column: nearest neighbours and their distance in Å.
Fractional positions:
1 Ca 0.0000 0.0000 0.0000  6 As 3.03
2 Zn 0.3333 0.6667 0.3690  4 As 2.55-2.63
3 Zn 0.6667 0.3333 0.6310  4 As 2.55-2.63
4 As 0.3333 0.6667 0.7424  4 Zn 2.55-2.63
5 As 0.6667 0.3333 0.2576  4 Zn 2.55-2.63

Properties
**Energy relative to the elements**: -660 meV per atom

For reference, volume by record: 15.30, 13.88, 21.48 Å³ per atom.
For reference, uncorrected energy by record: -87.58, -36.77, -17.14 eV per formula unit.